Entry 1
Eu2MgVO4: optimized geometry, PBE with a Hubbard U.

Calculated values
Magnetization: 2.127 μB/atom

abc: 4.087 4.087 7.398
angles: 106.03 106.03 90.00
Fractional coordinates of all 8 atoms:
O (0.490, 0.990, 0.979)
O (0.808, 0.808, 0.616)
O (0.010, 0.510, 0.021)
O (0.192, 0.192, 0.384)
Eu (0.612, 0.612, 0.223)
Eu (0.388, 0.388, 0.777)
Mg (0.250, 0.750, 0.500)
V (0.000, 0.000, 0.000)

=====

Entry 2
Eu2MgVO4: optimized geometry, PBE with a Hubbard U.

Calculated values
Magnetization: 2.099 μB/atom

abc: 3.934 3.934 10.044
angles: 101.30 101.30 90.00
Fractional coordinates of all 8 atoms:
O (0.197, 0.197, 0.395)
O (0.803, 0.803, 0.605)
O (0.500, 0.000, 0.000)
O (0.000, 0.500, 0.000)
Mg (0.500, 0.500, 0.000)
Eu (0.687, 0.687, 0.375)
Eu (0.313, 0.313, 0.625)
V (0.000, 0.000, 0.000)

=====

Most stable = entry 2

=====

Entry 1
EuMgVO3: optimized geometry, PBE with a Hubbard U.

Calculated values
Magnetization: 1.638 μB/atom

abc: 4.080 7.124 3.360
angles: 91.83 90.10 95.59
Fractional coordinates of all 6 atoms:
Eu (0.936, 0.072, 0.984)
Mg (0.039, 0.562, 0.018)
O (0.476, 0.092, 0.478)
O (0.533, 0.523, 0.013)
O (0.010, 0.383, 0.505)
V (0.505, 0.368, 0.502)

=====

Entry 2
EuMgVO3: optimized geometry, PBE with a Hubbard U.

Calculated values
Magnetization: 1.665 μB/atom

abc: 4.417 4.478 4.419
angles: 98.67 98.18 81.28
Fractional coordinates of all 6 atoms:
O (0.528, 0.027, 0.474)
O (0.031, 0.527, 0.475)
O (0.526, 0.523, 0.970)
Mg (0.243, 0.244, 0.755)
V (0.539, 0.538, 0.462)
Eu (0.884, 0.875, 0.113)

=====

Most stable = entry 1

=====

Entry 1
SrSmEuVO6: optimized geometry, PBE with a Hubbard U.

Calculated values
Magnetization: 0.677 μB/atom

abc: 8.558 8.561 8.568
angles: 90.00 90.00 90.00
Fractional coordinates of all 40 atoms:
O (0.476, 0.709, 0.783)
O (0.215, 0.477, 0.293)
O (0.215, 0.523, 0.707)
O (0.785, 0.523, 0.293)
O (0.476, 0.291, 0.217)
O (0.791, 0.283, 0.977)
O (0.977, 0.209, 0.716)
O (0.708, 0.215, 0.522)
O (0.023, 0.791, 0.716)
O (0.524, 0.291, 0.783)
O (0.209, 0.717, 0.977)
O (0.292, 0.785, 0.522)
O (0.977, 0.791, 0.284)
O (0.716, 0.023, 0.791)
O (0.292, 0.215, 0.478)
O (0.524, 0.709, 0.217)
O (0.785, 0.477, 0.707)
O (0.023, 0.209, 0.284)
O (0.284, 0.977, 0.791)
O (0.716, 0.977, 0.209)
O (0.284, 0.023, 0.209)
O (0.791, 0.717, 0.023)
O (0.209, 0.283, 0.023)
O (0.708, 0.785, 0.478)
Sr (0.000, 0.500, 0.000)
Sr (0.500, 0.000, 0.000)
Sr (0.500, 0.500, 0.000)
Sr (0.000, 0.000, 0.500)
Eu (0.000, 0.500, 0.500)
Eu (0.000, 0.000, 0.000)
Eu (0.500, 0.500, 0.500)
Eu (0.500, 0.000, 0.500)
V (0.250, 0.751, 0.751)
V (0.250, 0.249, 0.249)
V (0.750, 0.751, 0.249)
V (0.750, 0.249, 0.751)
Sm (0.750, 0.751, 0.751)
Sm (0.750, 0.249, 0.249)
Sm (0.250, 0.751, 0.249)
Sm (0.250, 0.249, 0.751)

=====

Entry 2
SrSmEuVO6: optimized geometry, PBE with a Hubbard U.

Calculated values
Magnetization: 0.699 μB/atom

abc: 5.848 5.848 5.848
angles: 60.00 60.00 60.00
Fractional coordinates of all 10 atoms:
Sr (0.250, 0.250, 0.250)
Sm (0.000, 0.000, 0.000)
O (0.272, 0.728, 0.272)
O (0.728, 0.272, 0.272)
O (0.728, 0.272, 0.728)
O (0.272, 0.272, 0.728)
O (0.728, 0.728, 0.272)
O (0.272, 0.728, 0.728)
Eu (0.750, 0.750, 0.750)
V (0.500, 0.500, 0.500)

=====

Most stable = entry 2

=====

Entry 1
MnFeH4NF6: optimized geometry, PBE with a Hubbard U.

Calculated values
Magnetization: 0.769 μB/atom

abc: 10.817 7.989 13.095
angles: 90.00 90.00 90.00
Fractional coordinates of all 104 atoms:
Fe (0.822, 0.249, 0.886)
Fe (0.178, 0.751, 0.886)
Fe (0.324, 0.250, 0.104)
Fe (0.676, 0.750, 0.104)
Fe (0.676, 0.750, 0.604)
Fe (0.178, 0.749, 0.386)
Fe (0.822, 0.251, 0.386)
Fe (0.324, 0.250, 0.604)
F (0.355, 0.767, 0.936)
F (0.270, 0.216, 0.745)
F (0.730, 0.716, 0.245)
F (0.709, 0.512, 0.618)
F (0.730, 0.784, 0.745)
F (0.355, 0.733, 0.436)
F (0.646, 0.989, 0.596)
F (0.361, 0.272, 0.459)
F (0.141, 0.773, 0.531)
F (0.709, 0.988, 0.118)
F (0.007, 0.721, 0.838)
F (0.007, 0.779, 0.338)
F (0.639, 0.772, 0.959)
F (0.148, 0.222, 0.554)
F (0.507, 0.717, 0.656)
F (0.793, 0.014, 0.368)
F (0.852, 0.778, 0.554)
F (0.850, 0.009, 0.896)
F (0.993, 0.279, 0.838)
F (0.150, 0.991, 0.896)
F (0.493, 0.217, 0.156)
F (0.148, 0.278, 0.054)
F (0.850, 0.491, 0.396)
F (0.859, 0.273, 0.031)
F (0.207, 0.986, 0.368)
F (0.493, 0.283, 0.656)
F (0.229, 0.710, 0.244)
F (0.993, 0.221, 0.338)
F (0.771, 0.290, 0.244)
F (0.771, 0.210, 0.744)
F (0.859, 0.227, 0.531)
F (0.354, 0.489, 0.096)
F (0.291, 0.012, 0.118)
F (0.793, 0.486, 0.868)
F (0.852, 0.722, 0.054)
F (0.361, 0.228, 0.959)
F (0.270, 0.284, 0.245)
F (0.291, 0.488, 0.618)
F (0.354, 0.011, 0.596)
F (0.141, 0.727, 0.031)
F (0.507, 0.783, 0.156)
F (0.645, 0.233, 0.936)
F (0.207, 0.514, 0.868)
F (0.229, 0.790, 0.744)
F (0.646, 0.511, 0.096)
F (0.639, 0.728, 0.459)
F (0.645, 0.267, 0.436)
F (0.150, 0.509, 0.396)
H (0.057, 0.929, 0.713)
H (0.948, 0.078, 0.176)
H (0.948, 0.422, 0.676)
H (0.457, 0.589, 0.376)
H (0.434, 0.444, 0.285)
H (0.434, 0.056, 0.785)
H (0.946, 0.577, 0.122)
H (0.550, 0.578, 0.795)
H (0.550, 0.922, 0.295)
H (0.559, 0.429, 0.887)
H (0.943, 0.429, 0.213)
H (0.441, 0.929, 0.387)
H (0.566, 0.944, 0.785)
H (0.543, 0.089, 0.876)
H (0.543, 0.411, 0.376)
H (0.052, 0.922, 0.176)
H (0.052, 0.578, 0.676)
H (0.054, 0.077, 0.622)
H (0.054, 0.423, 0.122)
H (0.058, 0.428, 0.586)
H (0.450, 0.422, 0.795)
H (0.559, 0.071, 0.387)
H (0.450, 0.078, 0.295)
H (0.441, 0.571, 0.887)
H (0.946, 0.923, 0.622)
H (0.942, 0.928, 0.086)
H (0.057, 0.571, 0.213)
H (0.058, 0.072, 0.086)
H (0.566, 0.556, 0.285)
H (0.942, 0.572, 0.586)
H (0.457, 0.911, 0.876)
H (0.943, 0.071, 0.713)
N (0.000, 0.500, 0.630)
N (0.000, 0.000, 0.130)
N (0.500, 0.000, 0.342)
N (0.000, 0.500, 0.168)
N (0.000, 0.000, 0.668)
N (0.500, 0.500, 0.330)
N (0.500, 0.500, 0.842)
N (0.500, 0.000, 0.830)
Mn (0.678, 0.250, 0.103)
Mn (0.322, 0.750, 0.603)
Mn (0.821, 0.746, 0.887)
Mn (0.821, 0.754, 0.387)
Mn (0.678, 0.250, 0.603)
Mn (0.179, 0.246, 0.387)
Mn (0.179, 0.254, 0.887)
Mn (0.322, 0.750, 0.103)

=====

Entry 2
MnFeH4NF6: optimized geometry, PBE with a Hubbard U.

Calculated values
Magnetization: 0.038 μB/atom

abc: 8.108 10.828 13.048
angles: 90.00 90.00 90.00
Fractional coordinates of all 104 atoms:
F (0.519, 0.351, 0.047)
F (0.489, 0.805, 0.864)
F (0.228, 0.496, 0.643)
F (0.978, 0.718, 0.124)
F (0.011, 0.805, 0.364)
F (0.220, 0.361, 0.952)
F (0.272, 0.854, 0.035)
F (0.022, 0.282, 0.124)
F (0.296, 0.778, 0.247)
F (0.204, 0.778, 0.747)
F (0.272, 0.496, 0.143)
F (0.727, 0.001, 0.835)
F (0.759, 0.353, 0.434)
F (0.773, 0.001, 0.335)
F (0.280, 0.361, 0.452)
F (0.173, 0.271, 0.737)
F (0.224, 0.142, 0.545)
F (0.704, 0.222, 0.247)
F (0.728, 0.504, 0.143)
F (0.728, 0.146, 0.035)
F (0.259, 0.647, 0.934)
F (0.673, 0.729, 0.237)
F (0.276, 0.142, 0.045)
F (0.741, 0.353, 0.934)
F (0.720, 0.639, 0.452)
F (0.981, 0.351, 0.547)
F (0.724, 0.858, 0.045)
F (0.776, 0.858, 0.545)
F (0.796, 0.222, 0.747)
F (0.327, 0.271, 0.237)
F (0.772, 0.504, 0.643)
F (0.989, 0.195, 0.364)
F (0.827, 0.729, 0.737)
F (0.517, 0.153, 0.404)
F (0.019, 0.649, 0.547)
F (0.273, 0.999, 0.835)
F (0.983, 0.153, 0.904)
F (0.241, 0.647, 0.434)
F (0.772, 0.146, 0.535)
F (0.483, 0.847, 0.404)
F (0.780, 0.639, 0.952)
F (0.511, 0.195, 0.864)
F (0.522, 0.718, 0.624)
F (0.017, 0.847, 0.904)
F (0.227, 0.999, 0.335)
F (0.481, 0.649, 0.047)
F (0.228, 0.854, 0.535)
F (0.478, 0.282, 0.624)
Mn (0.244, 0.186, 0.880)
Mn (0.780, 0.321, 0.121)
Mn (0.720, 0.321, 0.621)
Mn (0.280, 0.679, 0.621)
Mn (0.756, 0.814, 0.880)
Mn (0.220, 0.679, 0.121)
Mn (0.744, 0.814, 0.380)
Mn (0.256, 0.186, 0.380)
N (0.000, 0.500, 0.824)
N (0.500, 0.000, 0.630)
N (0.000, 0.000, 0.658)
N (0.500, 0.500, 0.324)
N (0.500, 0.000, 0.158)
N (0.500, 0.500, 0.785)
N (0.000, 0.500, 0.285)
N (0.000, 0.000, 0.130)
H (0.598, 0.358, 0.984)
H (0.902, 0.358, 0.484)
H (0.069, 0.445, 0.334)
H (0.082, 0.050, 0.612)
H (0.065, 0.939, 0.703)
H (0.418, 0.050, 0.112)
H (0.934, 0.059, 0.176)
H (0.081, 0.051, 0.085)
H (0.447, 0.432, 0.279)
H (0.591, 0.463, 0.370)
H (0.909, 0.463, 0.870)
H (0.947, 0.568, 0.779)
H (0.091, 0.537, 0.870)
H (0.402, 0.642, 0.984)
H (0.582, 0.950, 0.112)
H (0.918, 0.950, 0.612)
H (0.053, 0.432, 0.779)
H (0.066, 0.941, 0.176)
H (0.553, 0.568, 0.279)
H (0.931, 0.555, 0.334)
H (0.935, 0.061, 0.703)
H (0.919, 0.949, 0.085)
H (0.566, 0.059, 0.676)
H (0.581, 0.949, 0.585)
H (0.569, 0.555, 0.834)
H (0.409, 0.537, 0.370)
H (0.565, 0.061, 0.203)
H (0.098, 0.642, 0.484)
H (0.434, 0.941, 0.676)
H (0.431, 0.445, 0.834)
H (0.435, 0.939, 0.203)
H (0.419, 0.051, 0.585)
Fe (0.255, 0.322, 0.098)
Fe (0.755, 0.678, 0.598)
Fe (0.245, 0.322, 0.598)
Fe (0.254, 0.832, 0.888)
Fe (0.754, 0.168, 0.388)
Fe (0.246, 0.832, 0.388)
Fe (0.746, 0.168, 0.888)
Fe (0.745, 0.678, 0.098)

=====

Most stable = entry 1